Record 1
MgFeO3 after structural relaxation, computed with PBE+U.

Cell and atoms, written as POSCAR:
```
MgFeO3
1.0
-2.9580 -0.6693 -2.2325
-1.2881 -2.5369 2.4671
-1.9424 2.7015 1.7637
O Mg Fe
3 1 1
Direct
0.5000 0.0000 0.0000
0.0000 0.0000 0.5000
0.0000 0.5000 0.0000
0.5000 0.5000 0.5000
0.0000 0.0000 0.0000
```

Results
M_tot   4.0 μB/cell
Space-group type   Pm-3m, No. 221


Record 2
Mg3Fe2O5 after structural relaxation, computed with PBE+U.

Cell and atoms, written as POSCAR:
```
Mg3Fe2O5
1.0
-4.9849 1.6986 -0.2870
-4.8794 -6.4183 -0.5369
-0.7352 1.6533 4.9860
O Mg Fe
10 6 4
Direct
0.9823 0.7545 0.7464
0.1963 0.8602 0.2482
0.9929 0.2551 0.2404
0.4026 0.9387 0.7510
0.8111 0.6478 0.2431
0.6062 0.5438 0.7588
0.7880 0.1512 0.7561
0.1952 0.3471 0.7351
0.4038 0.4519 0.2640
0.6166 0.0445 0.2528
0.7995 0.8995 0.4996
0.9974 0.5020 0.4995
0.6016 0.2970 0.4996
0.7996 0.3995 0.9996
0.9994 0.9982 0.9951
0.5995 0.8008 0.0041
0.3972 0.1987 0.0043
0.2013 0.1001 0.4986
0.3977 0.6989 0.5005
0.2018 0.6003 0.9947
```

Results
Space-group type   P-1, No. 2


Record 3
MgFe2O4 after structural relaxation, computed with PBE+U.

Cell and atoms, written as POSCAR:
```
MgFe2O4
1.0
0.1348 -3.4229 4.9760
4.0312 -3.6572 -2.6209
1.0963 5.9287 0.3795
Fe O Mg
4 8 2
Direct
0.0000 0.5000 0.5000
0.0000 0.5000 0.0000
0.5000 0.5000 0.0000
0.0000 0.0000 0.5000
0.2194 0.7398 0.4796
0.7602 0.7398 0.0204
0.2398 0.7194 0.9796
0.7602 0.7398 0.4796
0.7602 0.2806 0.0204
0.7806 0.2602 0.5204
0.2398 0.2602 0.9796
0.2398 0.2602 0.5204
0.3750 0.1250 0.2500
0.6250 0.8750 0.7500
```

Results
Space-group type   Fd-3m, No. 227
ΔE to the lowest computed polymorph   0.0000 eV per atom


Record 4
MgFe4O9 after structural relaxation, computed with PBE+U.

Cell and atoms, written as POSCAR:
```
MgFe4O9
1.0
-7.5833 3.0642 -1.0083
-2.1082 -6.6573 -4.3759
-1.5581 -2.4050 4.4096
Fe O Mg
8 18 2
Direct
0.9100 0.7804 0.3736
0.7804 0.0900 0.6264
0.7196 0.4100 0.3736
0.5900 0.7196 0.6264
0.0900 0.2196 0.3736
0.2804 0.5900 0.3736
0.4100 0.2804 0.6264
0.2196 0.9100 0.6264
0.4427 0.2029 0.9516
0.1044 0.7029 0.5557
0.7029 0.8956 0.4443
0.5573 0.7971 0.9516
0.5000 0.5000 0.5000
0.2029 0.5573 0.0484
0.9427 0.7029 0.0484
0.0573 0.2971 0.0484
0.7029 0.0573 0.9516
0.2029 0.3956 0.5557
0.6044 0.2029 0.4443
0.7971 0.6044 0.5557
0.8956 0.2971 0.5557
0.3956 0.7971 0.4443
0.2971 0.1044 0.4443
0.2971 0.9427 0.9516
0.0000 0.0000 0.5000
0.7971 0.4427 0.0484
0.0000 0.5000 0.8154
0.5000 0.0000 0.1846
```

Results
Space-group type   P4/n, No. 85


Record 5
MgFeO3 after structural relaxation, computed with PBE+U.

Cell and atoms, written as POSCAR:
```
MgFeO3
1.0
-3.1138 3.9104 2.3095
0.6465 1.9228 5.1191
1.7379 5.0706 1.2610
Mg O Fe
2 6 2
Direct
0.8585 0.8585 0.8585
0.1415 0.1415 0.1415
0.4583 0.0584 0.7242
0.9416 0.2758 0.5417
0.0584 0.7242 0.4583
0.2758 0.5417 0.9416
0.5417 0.9416 0.2758
0.7242 0.4583 0.0584
0.6524 0.6524 0.6524
0.3476 0.3476 0.3476
```

Results
M_tot   8.0 μB/cell
Space-group type   R-3, No. 148


Record 6
MgFe2O4 after structural relaxation, computed with PBE+U.

Cell and atoms, written as POSCAR:
```
MgFe2O4
1.0
-0.2301 -1.3339 5.7295
1.7260 -5.2284 1.7715
29.8185 -3.1238 18.3811
O Fe Mg
48 24 12
Direct
0.2695 0.7219 0.5448
0.7261 0.7501 0.3789
0.2761 0.7489 0.6210
0.2691 0.7211 0.7119
0.2794 0.2540 0.1188
0.7252 0.2531 0.3781
0.2784 0.7553 0.2852
0.7236 0.2499 0.7128
0.7256 0.7495 0.5459
0.2747 0.2505 0.6207
0.2805 0.2493 0.0431
0.2713 0.2421 0.3773
0.2691 0.2386 0.7119
0.7297 0.7582 0.7892
0.7237 0.2831 0.1239
0.2770 0.7502 0.4538
0.7192 0.7433 0.9593
0.2675 0.2330 0.8796
0.2721 0.2538 0.2867
0.2833 0.7110 0.2080
0.2750 0.2514 0.4537
0.7297 0.2768 0.7892
0.2805 0.7114 0.0431
0.7315 0.7614 0.4547
0.2811 0.2523 0.9524
0.7192 0.2818 0.9593
0.7285 0.7440 0.8806
0.7151 0.2680 0.2082
0.2675 0.7222 0.8796
0.7315 0.2787 0.4547
0.2833 0.2579 0.2080
0.2738 0.2500 0.7877
0.7341 0.7673 0.2865
0.2755 0.7472 0.7884
0.7241 0.2511 0.5456
0.2757 0.7346 0.9592
0.7341 0.2795 0.2865
0.7232 0.7514 0.2123
0.2764 0.7407 0.1237
0.7113 0.2614 0.0443
0.2713 0.7225 0.3773
0.7237 0.7498 0.1239
0.2695 0.2400 0.5448
0.7308 0.7601 0.6218
0.7270 0.7460 0.0468
0.7308 0.2781 0.6218
0.7252 0.7486 0.7129
0.7217 0.2461 0.8810
0.8667 0.8835 0.6444
0.8674 0.8841 0.4774
0.5001 0.5000 0.5833
0.4997 0.4993 0.7504
0.4979 0.5025 0.1662
0.8666 0.8820 0.8116
0.1331 0.1157 0.6893
0.1335 0.1164 0.5223
0.4974 0.5018 0.0836
0.8601 0.8816 0.1461
0.1338 0.1172 0.3553
0.8595 0.8797 0.9802
0.8670 0.8840 0.3108
0.1316 0.1166 0.8559
0.4965 0.4968 0.0016
0.4993 0.0094 0.2486
0.5008 0.5003 0.4162
0.5001 0.0000 0.5833
0.4974 0.9992 0.0836
0.4986 0.5011 0.9181
0.4986 0.9919 0.9181
0.5008 0.0018 0.4162
0.4997 0.9984 0.7504
0.4993 0.4999 0.2486
0.5020 0.5033 0.3319
0.5004 0.5006 0.4997
0.0024 0.5024 0.2488
0.0002 0.5000 0.5833
0.1351 0.1216 0.0203
0.0046 0.4979 0.0833
0.4993 0.4971 0.8344
0.9993 0.4994 0.7503
0.5000 0.4994 0.6669
0.0012 0.4965 0.9177
0.1362 0.1211 0.1869
0.0012 0.5007 0.4163
```

Results
M_tot   120.0 μB/cell
Space-group type   Cm, No. 8
ΔE to the lowest computed polymorph   0.1250 eV per atom


Record 7
MgFe2O4 after structural relaxation, computed with PBE+U.

Cell and atoms, written as POSCAR:
```
MgFe2O4
1.0
3.0248 -5.2391 0.0000
3.0248 5.2391 0.0000
0.0000 0.0000 14.8064
O Fe Mg
24 12 6
Direct
0.8471 0.6942 0.7535
0.0000 0.0000 0.4196
0.1789 0.3578 0.0897
0.8241 0.1759 0.2455
0.3518 0.1759 0.2455
0.8241 0.6482 0.2455
0.3333 0.6667 0.2422
0.9767 0.4884 0.4238
0.1522 0.8478 0.5798
0.3333 0.6667 0.7613
0.3058 0.1529 0.7535
0.4924 0.9849 0.9125
0.5116 0.0233 0.4238
0.5116 0.4884 0.4238
0.1789 0.8211 0.0897
0.4924 0.5075 0.9125
0.6667 0.3333 0.5750
0.0000 0.0000 0.9076
0.6667 0.3333 0.0890
0.0151 0.5075 0.9125
0.6957 0.8478 0.5798
0.8471 0.1529 0.7535
0.6422 0.8211 0.0897
0.1522 0.3043 0.5798
0.1649 0.3299 0.8323
0.3384 0.1692 0.4987
0.8308 0.6616 0.4987
0.0072 0.5036 0.1659
0.0000 0.0000 0.2875
0.6667 0.3333 0.9565
0.0000 0.0000 0.6635
0.6701 0.8351 0.8323
0.4964 0.5036 0.1659
0.8308 0.1692 0.4987
0.4964 0.9928 0.1659
0.1649 0.8351 0.8323
0.0000 0.0000 0.0452
0.6667 0.3333 0.7086
0.3333 0.6667 0.3793
0.3333 0.6667 0.0021
0.6667 0.3333 0.3356
0.3333 0.6667 0.6226
```

Results
M_tot   60.0 μB/cell
Space-group type   P3m1, No. 156
ΔE to the lowest computed polymorph   0.0236 eV per atom


Record 8
MgFe2O4 after structural relaxation, computed with PBE+U.

Cell and atoms, written as POSCAR:
```
MgFe2O4
1.0
-0.3113 -2.2900 -7.3175
1.5037 -4.2929 -6.1804
-5.5123 -6.6824 -2.9714
O Mg Fe
8 2 4
Direct
0.8547 0.8547 0.7026
0.4481 0.4481 0.3453
0.2255 0.2255 0.6441
0.8611 0.8611 0.9831
0.7745 0.7745 0.3559
0.1453 0.1453 0.2974
0.1389 0.1389 0.0169
0.5519 0.5519 0.6547
0.6887 0.6887 0.8310
0.3113 0.3113 0.1690
0.1495 0.1495 0.5195
0.8505 0.8505 0.4805
0.3974 0.3974 0.7988
0.6026 0.6026 0.2012
```

Results
M_tot   20.0 μB/cell
Space-group type   C2/m, No. 12
ΔE to the lowest computed polymorph   0.1394 eV per atom


Record 9
MgFeO3 after structural relaxation, computed with PBE+U.

Cell and atoms, written as POSCAR:
```
MgFeO3
1.0
-0.8836 4.9780 -0.2892
-3.4936 -0.3915 3.9352
5.4305 1.2512 4.9455
O Mg Fe
12 4 4
Direct
0.8116 0.8101 0.4331
0.3733 0.9421 0.2500
0.6884 0.3100 0.0669
0.8733 0.5579 0.7500
0.3116 0.6899 0.5669
0.1267 0.4421 0.2500
0.1884 0.1900 0.5669
0.6884 0.3100 0.4331
0.6267 0.0579 0.7500
0.3116 0.6899 0.9331
0.8116 0.8101 0.0669
0.1884 0.1900 0.9331
0.9852 0.0638 0.2500
0.4852 0.4362 0.7500
0.0148 0.9362 0.7500
0.5148 0.5638 0.2500
0.5000 0.0000 0.0000
0.5000 0.0000 0.5000
0.0000 0.5000 0.0000
0.0000 0.5000 0.5000
```

Results
Space-group type   Pnma, No. 62


Record 10
MgFe4O6 after structural relaxation, computed with PBE+U.

Cell and atoms, written as POSCAR:
```
MgFe4O6
1.0
-0.4594 2.8474 -4.4186
-2.3592 -1.9181 4.3125
3.8819 12.6576 7.7533
Mg O Fe
2 12 8
Direct
0.3482 0.6518 0.7500
0.6518 0.3482 0.2500
0.5000 0.5000 0.0000
0.5000 0.5000 0.5000
0.7018 0.2982 0.7500
0.2134 0.7866 0.5840
0.2134 0.7866 0.9160
0.9636 0.0364 0.6644
0.0364 0.9636 0.3356
0.2982 0.7018 0.2500
0.9636 0.0364 0.8356
0.7866 0.2134 0.4160
0.0364 0.9636 0.1644
0.7866 0.2134 0.0840
0.3997 0.6003 0.3623
0.1346 0.8654 0.0463
0.3997 0.6003 0.1377
0.8654 0.1346 0.9537
0.1346 0.8654 0.4537
0.6003 0.3997 0.8623
0.8654 0.1346 0.5463
0.6003 0.3997 0.6377
```

Results
M_tot   36.0 μB/cell
Space-group type   Cmcm, No. 63
ΔE to the lowest computed polymorph   0.0000 eV per atom


Record 11
Mg3Fe22O36 after structural relaxation, computed with PBE+U.

Cell and atoms, written as POSCAR:
```
Mg3Fe22O36
1.0
4.4728 0.0554 3.2024
1.6726 4.1536 3.2058
0.5229 0.3834 32.9799
Fe O Mg
22 36 3
Direct
0.6524 0.6498 0.1153
0.8534 0.8504 0.3106
0.6570 0.6550 0.2789
0.1506 0.1525 0.6865
0.1421 0.1444 0.3584
0.6655 0.6650 0.6073
0.3345 0.3350 0.2261
0.6615 0.6606 0.4430
0.1466 0.1496 0.5227
0.1571 0.1371 0.8503
0.3430 0.3450 0.5545
0.3385 0.3394 0.3903
0.8429 0.8629 0.9830
0.8579 0.8556 0.4749
0.1380 0.1392 0.1945
0.6700 0.6680 0.7711
0.3300 0.3320 0.0623
0.8620 0.8608 0.6388
0.8779 0.8627 0.8039
0.1221 0.1373 0.0294
0.3476 0.3502 0.7181
0.8494 0.8475 0.1468
0.9406 0.2741 0.5914
0.2567 0.5501 0.9935
0.9127 0.2623 0.9276
0.7255 0.4294 0.1816
0.4371 0.0578 0.2906
0.5590 0.9372 0.3785
0.9361 0.2690 0.4271
0.0873 0.7377 0.9058
0.0682 0.7359 0.5705
0.2745 0.5706 0.6518
0.5700 0.9468 0.7066
0.2626 0.5543 0.1594
0.9318 0.2641 0.2628
0.2864 0.5649 0.8127
0.7374 0.4457 0.6740
0.5701 0.9165 0.8737
0.7136 0.4351 0.0206
0.0639 0.7310 0.4063
0.5533 0.9318 0.2145
0.5629 0.9422 0.5428
0.7297 0.4343 0.3455
0.9295 0.2573 0.0996
0.4410 0.0628 0.4548
0.4299 0.0835 0.9596
0.2657 0.5605 0.3236
0.5512 0.9349 0.0506
0.0705 0.7427 0.7337
0.0594 0.7259 0.2419
0.9469 0.2778 0.7552
0.7343 0.4395 0.5097
0.4300 0.0532 0.1268
0.4467 0.0682 0.6188
0.4488 0.0651 0.7827
0.0531 0.7222 0.0781
0.2703 0.5657 0.4878
0.7433 0.4499 0.8399
0.5000 0.5000 0.9167
0.3279 0.3311 0.8854
0.6721 0.6689 0.9479
```

Results
M_tot   110.0 μB/cell
Space-group type   P-1, No. 2


Record 12
MgFe2O4 after structural relaxation, computed with PBE+U.

Cell and atoms, written as POSCAR:
```
MgFe2O4
1.0
2.8758 -2.0922 4.7904
4.5133 3.6215 -1.4525
-5.4311 2.3539 0.7465
O Mg Fe
8 2 4
Direct
0.2263 0.2554 0.9709
0.7562 0.2620 0.0058
0.7845 0.2554 0.5291
0.2155 0.7446 0.4709
0.7737 0.7446 0.0291
0.2438 0.7380 0.9942
0.7562 0.7504 0.4942
0.2438 0.2496 0.5058
0.5000 0.0000 0.5000
0.0000 0.0000 0.0000
0.5000 0.5000 0.0000
0.0000 0.0000 0.5000
0.0000 0.5000 0.0000
0.0000 0.5000 0.5000
```

Results
M_tot   20.0 μB/cell
Space-group type   Imma, No. 74
ΔE to the lowest computed polymorph   0.1360 eV per atom


Listing calculated formation energy for the structures above in their given order: -1622, -2421, -2101, -1349, -2014, -1976, -2078, -1962, -1979, -1782, -1616, -1965 meV per atom.
Listing DFT total energy for the structures above in their given order: -5.74, -6.27, -6.54, -5.98, -6.13, -6.42, -6.52, -6.40, -6.10, -6.51, -6.45, -6.40 eV per atom.